Entry 1:
NaNbO2F: relaxed, GGA-PBE.

- volume (Å³ per atom) = 13.034
- formation energy (kJ/mol of formula units) = -1321
- space-group type = Pnma, No. 62
- electronic total energy (eV/atom) = -7.0188
- E (MP2020) (eV per atom) = -7.386
- spin magnetization (μB/cell) = 3.948

Unit cell a=5.654 b=8.310 c=5.548 alpha=90.00 beta=90.00 gamma=90.00
Sites, in units of the cell vectors:
Na (0.025, 0.250, 0.032)
Na (0.475, 0.750, 0.532)
Na (0.525, 0.250, 0.468)
Na (0.975, 0.750, 0.968)
Nb (0.000, 0.000, 0.500)
Nb (0.000, 0.500, 0.500)
Nb (0.500, 0.000, 0.000)
Nb (0.500, 0.500, 0.000)
O (0.227, 0.541, 0.775)
O (0.227, 0.959, 0.775)
O (0.273, 0.041, 0.275)
O (0.273, 0.459, 0.275)
O (0.727, 0.541, 0.725)
O (0.727, 0.959, 0.725)
O (0.773, 0.041, 0.225)
O (0.773, 0.459, 0.225)
F (0.023, 0.750, 0.390)
F (0.477, 0.250, 0.890)
F (0.523, 0.750, 0.110)
F (0.977, 0.250, 0.610)

***

Entry 2:
Na3NbOF6: relaxed, GGA-PBE.

- volume (Å³ per atom) = 13.146
- formation energy (kJ/mol of formula units) = -3372
- space-group type = P2_12_12_1, No. 19
- electronic total energy (eV/atom) = -5.6359
- E (MP2020) (eV per atom) = -5.950
- spin magnetization (μB/cell) = 0.000

Unit cell a=5.745 b=5.855 c=17.196 alpha=90.00 beta=90.00 gamma=90.00
Sites, in units of the cell vectors:
Na (0.218, 0.008, 0.004)
Na (0.236, 0.032, 0.743)
Na (0.237, 0.515, 0.125)
Na (0.263, 0.485, 0.625)
Na (0.264, 0.968, 0.243)
Na (0.282, 0.992, 0.504)
Na (0.718, 0.492, 0.996)
Na (0.736, 0.468, 0.257)
Na (0.737, 0.985, 0.875)
Na (0.763, 0.015, 0.375)
Na (0.764, 0.532, 0.757)
Na (0.782, 0.508, 0.496)
Nb (0.247, 0.490, 0.375)
Nb (0.253, 0.510, 0.875)
Nb (0.747, 0.010, 0.625)
Nb (0.753, 0.990, 0.125)
O (0.014, 0.161, 0.612)
O (0.486, 0.839, 0.112)
O (0.514, 0.339, 0.388)
O (0.986, 0.661, 0.888)
F (0.054, 0.255, 0.440)
F (0.081, 0.161, 0.134)
F (0.081, 0.271, 0.300)
F (0.126, 0.180, 0.877)
F (0.156, 0.423, 0.762)
F (0.229, 0.604, 0.489)
F (0.271, 0.396, 0.989)
F (0.344, 0.577, 0.262)
F (0.374, 0.820, 0.377)
F (0.419, 0.729, 0.800)
F (0.419, 0.839, 0.634)
F (0.446, 0.745, 0.940)
F (0.554, 0.245, 0.560)
F (0.581, 0.229, 0.700)
F (0.581, 0.339, 0.866)
F (0.626, 0.320, 0.123)
F (0.656, 0.077, 0.238)
F (0.729, 0.896, 0.511)
F (0.771, 0.104, 0.011)
F (0.844, 0.923, 0.738)
F (0.874, 0.680, 0.623)
F (0.919, 0.661, 0.366)
F (0.919, 0.771, 0.200)
F (0.946, 0.755, 0.060)

***

Entry 3:
Na11TiNb2Si4P2O25F: relaxed, GGA-PBE.

- volume (Å³ per atom) = 12.822
- formation energy (kJ/mol of formula units) = -12690
- space-group type = P1, No. 1
- electronic total energy (eV/atom) = -6.8407
- E (MP2020) (eV per atom) = -7.224

Unit cell a=5.578 b=7.247 c=14.668 alpha=92.63 beta=95.19 gamma=90.66
Sites, in units of the cell vectors:
Na (0.000, 0.000, 0.000)
Na (0.008, 0.523, 0.995)
Na (0.216, 0.751, 0.233)
Na (0.265, 0.025, 0.419)
Na (0.311, 0.255, 0.631)
Na (0.323, 0.780, 0.599)
Na (0.508, 0.262, 0.998)
Na (0.692, 0.743, 0.398)
Na (0.704, 0.269, 0.365)
Na (0.750, 0.498, 0.577)
Na (0.798, 0.773, 0.764)
Ti (0.481, 0.762, 0.006)
Nb (0.208, 0.270, 0.214)
Nb (0.808, 0.254, 0.782)
Si (0.309, 0.966, 0.814)
Si (0.325, 0.543, 0.802)
Si (0.691, 0.981, 0.195)
Si (0.708, 0.557, 0.182)
P (0.195, 0.506, 0.432)
P (0.820, 0.017, 0.565)
O (0.047, 0.050, 0.780)
O (0.075, 0.437, 0.757)
O (0.095, 0.018, 0.554)
O (0.192, 0.245, 0.091)
O (0.246, 0.759, 0.074)
O (0.251, 0.331, 0.369)
O (0.273, 0.688, 0.389)
O (0.304, 0.756, 0.763)
O (0.337, 0.488, 0.527)
O (0.349, 0.960, 0.924)
O (0.350, 0.554, 0.913)
O (0.457, 0.065, 0.244)
O (0.492, 0.448, 0.226)
O (0.523, 0.076, 0.770)
O (0.559, 0.459, 0.753)
O (0.669, 0.971, 0.083)
O (0.672, 0.564, 0.072)
O (0.678, 0.035, 0.469)
O (0.712, 0.768, 0.233)
O (0.742, 0.836, 0.607)
O (0.765, 0.193, 0.628)
O (0.823, 0.278, 0.905)
O (0.921, 0.506, 0.442)
O (0.941, 0.087, 0.240)
O (0.969, 0.474, 0.217)
F (0.785, 0.765, 0.920)

***

Entry 4:
Na7TiNb2Si4P2O29F: relaxed, GGA-PBE.

- volume (Å³ per atom) = 12.853
- formation energy (kJ/mol of formula units) = -10347
- space-group type = P1, No. 1
- electronic total energy (eV/atom) = -6.5684
- E (MP2020) (eV per atom) = -7.012
- spin magnetization (μB/cell) = 12.002

Unit cell a=5.545 b=7.280 c=14.725 alpha=92.13 beta=95.52 gamma=90.45
Sites, in units of the cell vectors:
Na (0.000, 0.000, 0.000)
Na (0.006, 0.528, 0.998)
Na (0.200, 0.763, 0.233)
Na (0.315, 0.256, 0.636)
Na (0.497, 0.261, 0.000)
Na (0.666, 0.741, 0.395)
Na (0.793, 0.747, 0.755)
Ti (0.525, 0.763, 0.990)
Nb (0.194, 0.271, 0.210)
Nb (0.802, 0.251, 0.787)
Si (0.301, 0.965, 0.812)
Si (0.315, 0.539, 0.805)
Si (0.682, 0.982, 0.192)
Si (0.690, 0.560, 0.184)
P (0.190, 0.500, 0.435)
P (0.808, 0.026, 0.561)
O (0.038, 0.048, 0.775)
O (0.066, 0.432, 0.761)
O (0.090, 0.025, 0.556)
O (0.171, 0.254, 0.088)
O (0.248, 0.323, 0.376)
O (0.257, 0.032, 0.428)
O (0.261, 0.672, 0.388)
O (0.295, 0.751, 0.767)
O (0.323, 0.485, 0.534)
O (0.334, 0.773, 0.601)
O (0.336, 0.962, 0.922)
O (0.338, 0.551, 0.916)
O (0.444, 0.070, 0.235)
O (0.464, 0.458, 0.225)
O (0.519, 0.073, 0.768)
O (0.550, 0.451, 0.760)
O (0.656, 0.968, 0.081)
O (0.657, 0.566, 0.074)
O (0.675, 0.260, 0.373)
O (0.676, 0.030, 0.462)
O (0.699, 0.771, 0.233)
O (0.734, 0.842, 0.602)
O (0.741, 0.494, 0.569)
O (0.746, 0.194, 0.622)
O (0.757, 0.763, 0.921)
O (0.824, 0.269, 0.909)
O (0.908, 0.504, 0.443)
O (0.936, 0.084, 0.232)
O (0.952, 0.473, 0.219)
F (0.221, 0.763, 0.075)

***

Entry 5:
NaPrTiNbO6F: relaxed, GGA-PBE.

- volume (Å³ per atom) = 13.044
- formation energy (kJ/mol of formula units) = -3572
- space-group type = P4_122, No. 91
- electronic total energy (eV/atom) = -8.0127
- E (MP2020) (eV per atom) = -8.429
- spin magnetization (μB/cell) = 0.002
- excess energy over the best structure of this formula in the dataset (meV/atom) = 0

Unit cell a=7.393 b=7.393 c=10.502 alpha=90.00 beta=90.00 gamma=90.00
Sites, in units of the cell vectors:
Na (0.000, 0.226, 0.000)
Na (0.000, 0.774, 0.500)
Na (0.226, 0.000, 0.750)
Na (0.774, 0.000, 0.250)
Pr (0.226, 0.500, 0.750)
Pr (0.500, 0.226, 0.000)
Pr (0.500, 0.774, 0.500)
Pr (0.774, 0.500, 0.250)
Ti (0.265, 0.500, 0.250)
Ti (0.500, 0.265, 0.500)
Ti (0.500, 0.735, 0.000)
Ti (0.735, 0.500, 0.750)
Nb (0.000, 0.257, 0.500)
Nb (0.000, 0.743, 0.000)
Nb (0.257, 0.000, 0.250)
Nb (0.743, 0.000, 0.750)
O (0.058, 0.447, 0.368)
O (0.058, 0.553, 0.132)
O (0.062, 0.062, 0.375)
O (0.062, 0.938, 0.125)
O (0.251, 0.272, 0.571)
O (0.251, 0.728, 0.929)
O (0.272, 0.251, 0.179)
O (0.272, 0.749, 0.321)
O (0.447, 0.058, 0.382)
O (0.447, 0.942, 0.118)
O (0.458, 0.458, 0.375)
O (0.458, 0.542, 0.125)
O (0.542, 0.458, 0.625)
O (0.542, 0.542, 0.875)
O (0.553, 0.058, 0.618)
O (0.553, 0.942, 0.882)
O (0.728, 0.251, 0.821)
O (0.728, 0.749, 0.679)
O (0.749, 0.272, 0.429)
O (0.749, 0.728, 0.071)
O (0.938, 0.062, 0.625)
O (0.938, 0.938, 0.875)
O (0.942, 0.447, 0.632)
O (0.942, 0.553, 0.868)
F (0.239, 0.239, 0.875)
F (0.239, 0.761, 0.625)
F (0.761, 0.239, 0.125)
F (0.761, 0.761, 0.375)

***

Entry 6:
NaPrTiNbO6F: relaxed, GGA-PBE.

- volume (Å³ per atom) = 12.999
- formation energy (kJ/mol of formula units) = -3568
- space-group type = Imma, No. 74
- electronic total energy (eV/atom) = -8.0087
- E (MP2020) (eV per atom) = -8.425
- spin magnetization (μB/cell) = 0.000
- excess energy over the best structure of this formula in the dataset (meV/atom) = 4

Unit cell a=7.380 b=7.380 c=7.380 alpha=121.13 beta=117.91 gamma=90.86
Sites, in units of the cell vectors:
Na (0.500, 0.000, 0.000)
Na (0.500, 0.500, 0.500)
Pr (0.000, 0.000, 0.000)
Pr (0.500, 0.000, 0.500)
Ti (0.000, 0.000, 0.500)
Ti (0.000, 0.500, 0.000)
Nb (0.000, 0.500, 0.500)
Nb (0.500, 0.500, 0.000)
O (0.062, 0.419, 0.235)
O (0.062, 0.827, 0.644)
O (0.078, 0.828, 0.250)
O (0.316, 0.173, 0.735)
O (0.316, 0.566, 0.750)
O (0.316, 0.581, 0.144)
O (0.684, 0.419, 0.856)
O (0.684, 0.434, 0.250)
O (0.684, 0.827, 0.265)
O (0.922, 0.172, 0.750)
O (0.938, 0.173, 0.356)
O (0.938, 0.581, 0.765)
F (0.380, 0.130, 0.250)
F (0.620, 0.870, 0.750)

***

Entry 7:
Rb3NaNb2O3F10: relaxed, GGA-PBE.

- volume (Å³ per atom) = 17.880
- formation energy (kJ/mol of formula units) = -5454
- space-group type = C2, No. 5
- electronic total energy (eV/atom) = -5.7002
- E (MP2020) (eV per atom) = -6.052
- spin magnetization (μB/cell) = 4.001

Unit cell a=11.119 b=11.119 c=12.340 alpha=121.20 beta=121.20 gamma=31.91
Sites, in units of the cell vectors:
Rb (0.043, 0.043, 0.376)
Rb (0.267, 0.286, 0.382)
Rb (0.355, 0.379, 0.093)
Rb (0.621, 0.645, 0.907)
Rb (0.714, 0.733, 0.618)
Rb (0.957, 0.957, 0.624)
Na (0.483, 0.517, 0.500)
Na (0.996, 0.004, 0.000)
Nb (0.145, 0.194, 0.751)
Nb (0.407, 0.414, 0.763)
Nb (0.586, 0.593, 0.237)
Nb (0.806, 0.855, 0.249)
O (0.136, 0.140, 0.118)
O (0.377, 0.381, 0.869)
O (0.532, 0.004, 0.154)
O (0.619, 0.623, 0.131)
O (0.860, 0.864, 0.882)
O (0.996, 0.468, 0.846)
F (0.112, 0.123, 0.842)
F (0.113, 0.576, 0.640)
F (0.134, 0.690, 0.372)
F (0.190, 0.201, 0.619)
F (0.250, 0.725, 0.854)
F (0.275, 0.750, 0.146)
F (0.310, 0.866, 0.628)
F (0.424, 0.887, 0.360)
F (0.454, 0.459, 0.641)
F (0.460, 0.004, 0.847)
F (0.541, 0.546, 0.359)
F (0.566, 0.121, 0.639)
F (0.683, 0.143, 0.373)
F (0.717, 0.259, 0.854)
F (0.741, 0.283, 0.146)
F (0.799, 0.810, 0.381)
F (0.857, 0.317, 0.627)
F (0.877, 0.888, 0.158)
F (0.879, 0.434, 0.361)
F (0.996, 0.540, 0.153)

***

Entry 8:
NaNdF4: relaxed, GGA-PBE.

- volume (Å³ per atom) = 13.723
- formation energy (kJ/mol of formula units) = -2291
- space-group type = P1, No. 1
- electronic total energy (eV/atom) = -5.9404
- E (MP2020) (eV per atom) = -6.248

Unit cell a=6.185 b=7.206 c=7.214 alpha=62.55 beta=64.66 gamma=64.69
Sites, in units of the cell vectors:
Na (0.000, 0.000, 0.000)
Na (0.003, 0.482, 0.481)
Na (0.668, 0.416, 0.233)
Nd (0.335, 0.492, 0.824)
Nd (0.339, 0.990, 0.321)
Nd (0.672, 0.913, 0.731)
F (0.092, 0.236, 0.066)
F (0.092, 0.727, 0.553)
F (0.312, 0.881, 0.706)
F (0.319, 0.372, 0.204)
F (0.381, 0.272, 0.636)
F (0.384, 0.814, 0.091)
F (0.593, 0.619, 0.450)
F (0.615, 0.121, 0.947)
F (0.699, 0.538, 0.820)
F (0.702, 0.999, 0.355)
F (0.931, 0.701, 0.977)
F (0.933, 0.156, 0.518)

***

Entry 9:
NaNdF4: relaxed, GGA-PBE.

- volume (Å³ per atom) = 13.818
- formation energy (kJ/mol of formula units) = -2284
- space-group type = P-6, No. 174
- electronic total energy (eV/atom) = -5.9280
- E (MP2020) (eV per atom) = -6.236
- spin magnetization (μB/cell) = 0.000

Unit cell a=6.217 b=6.217 c=7.430 alpha=90.00 beta=90.00 gamma=120.00
Sites, in units of the cell vectors:
Na (0.000, 0.000, 0.000)
Na (0.667, 0.333, 0.206)
Na (0.667, 0.333, 0.794)
Nd (0.000, 0.000, 0.500)
Nd (0.333, 0.667, 0.246)
Nd (0.333, 0.667, 0.754)
F (0.050, 0.437, 0.000)
F (0.066, 0.420, 0.500)
F (0.275, 0.259, 0.262)
F (0.275, 0.259, 0.738)
F (0.354, 0.934, 0.500)
F (0.387, 0.950, 0.000)
F (0.563, 0.613, 0.000)
F (0.580, 0.646, 0.500)
F (0.741, 0.016, 0.262)
F (0.741, 0.016, 0.738)
F (0.984, 0.725, 0.262)
F (0.984, 0.725, 0.738)

***

Entry 10:
Na5Nd4Si4O16F: relaxed, GGA-PBE.

- volume (Å³ per atom) = 13.322
- formation energy (kJ/mol of formula units) = -9471
- space-group type = I-4, No. 82
- electronic total energy (eV/atom) = -7.1724
- E (MP2020) (eV per atom) = -7.554

Unit cell a=8.949 b=8.949 c=8.949 alpha=95.44 beta=95.44 gamma=144.12
Sites, in units of the cell vectors:
Na (0.000, 0.000, 0.000)
Na (0.113, 0.419, 0.516)
Na (0.402, 0.887, 0.306)
Na (0.581, 0.097, 0.694)
Na (0.903, 0.598, 0.484)
Nd (0.333, 0.635, 0.933)
Nd (0.365, 0.298, 0.698)
Nd (0.599, 0.667, 0.302)
Nd (0.702, 0.401, 0.067)
Si (0.094, 0.745, 0.854)
Si (0.255, 0.110, 0.349)
Si (0.761, 0.906, 0.651)
Si (0.890, 0.239, 0.146)
O (0.046, 0.219, 0.755)
O (0.122, 0.632, 0.722)
O (0.184, 0.752, 0.029)
O (0.186, 0.423, 0.144)
O (0.248, 0.277, 0.432)
O (0.279, 0.043, 0.856)
O (0.368, 0.091, 0.490)
O (0.463, 0.291, 0.245)
O (0.577, 0.721, 0.764)
O (0.600, 0.878, 0.510)
O (0.709, 0.954, 0.173)
O (0.723, 0.155, 0.971)
O (0.781, 0.537, 0.827)
O (0.845, 0.816, 0.568)
O (0.909, 0.400, 0.278)
O (0.957, 0.814, 0.236)
F (0.500, 0.500, 0.000)